No. 1
A plane-wave DFT calculation with meta-GGA r2SCAN was carried out for a relaxed ZnGeRh2 crystal.

Results
Symmetry = Fm-3m, No. 225

The structure in extended XYZ format:
```
4
Lattice="0.000 3.000 3.000 3.000 0.000 3.000 3.000 3.000 0.000" Properties=species:S:1:pos:R:3 pbc="T T T"
Zn 0.000 0.000 0.000
Ge 3.000 3.000 3.000
Rh 1.500 1.500 1.500
Rh 4.500 4.500 4.500
```


No. 2
A plane-wave DFT calculation with meta-GGA r2SCAN was carried out for a relaxed La2Ge3O9 crystal.

Results
Symmetry = P-1, No. 2

The structure in extended XYZ format:
```
28
Lattice="5.741 0.000 0.000 -0.183 7.718 0.000 -2.772 -2.814 7.904" Properties=species:S:1:pos:R:3 pbc="T T T"
La 0.119 0.933 1.720
La -0.203 5.145 3.294
La 2.988 -0.241 4.610
La 2.667 3.971 6.184
Ge 1.266 3.950 0.013
Ge 0.021 1.863 5.224
Ge 0.070 -1.834 6.755
Ge 2.715 6.738 1.149
Ge 2.764 3.041 2.680
Ge 1.519 0.954 7.891
O -0.184 5.088 0.359
O -1.243 -1.881 5.534
O -1.492 1.784 6.154
O -0.383 0.737 3.986
O 1.494 7.663 0.002
O 1.275 3.480 1.826
O 0.433 3.491 4.859
O 1.407 6.642 2.402
O -0.021 -0.157 7.543
O 2.806 5.061 0.361
O 1.378 -1.738 5.502
O 2.352 1.414 3.045
O 1.510 1.424 6.078
O 1.291 -2.759 7.902
O 3.168 4.168 3.918
O 4.277 3.120 1.750
O 4.028 6.785 2.370
O 2.969 -0.184 7.545
```


No. 3
A plane-wave DFT calculation with meta-GGA r2SCAN was carried out for a relaxed CeGdN2 crystal.

Results
Symmetry = P4/mmm, No. 123

The structure in extended XYZ format:
```
4
Lattice="3.566 0.000 0.000 0.000 3.566 0.000 0.000 0.000 5.016" Properties=species:S:1:pos:R:3 pbc="T T T"
Ce 0.000 0.000 0.000
Gd 1.783 1.783 2.508
N 0.000 0.000 2.508
N 1.783 1.783 0.000
```


No. 4
A plane-wave DFT calculation with meta-GGA r2SCAN was carried out for a relaxed HfSn2 crystal.

Results
Symmetry = P6_222, No. 180

The structure in extended XYZ format:
```
9
Lattice="5.499 0.000 0.000 -2.749 4.762 0.000 0.000 0.000 7.643" Properties=species:S:1:pos:R:3 pbc="T T T"
Hf -1.375 2.381 1.274
Hf 2.749 0.000 3.821
Hf 1.375 2.381 6.369
Sn 0.000 1.595 3.821
Sn -1.368 3.964 6.369
Sn 1.382 0.798 1.274
Sn 1.368 3.964 1.274
Sn 4.117 0.798 6.369
Sn 2.749 3.167 3.821
```


No. 5
A plane-wave DFT calculation with meta-GGA r2SCAN was carried out for a relaxed SiC crystal.

Results
Symmetry = F-43m, No. 216

The structure in extended XYZ format:
```
2
Lattice="0.000 2.177 2.177 2.177 0.000 2.177 2.177 2.177 0.000" Properties=species:S:1:pos:R:3 pbc="T T T"
Si 0.000 0.000 0.000
C 3.265 3.265 3.265
```


No. 6
A plane-wave DFT calculation with meta-GGA r2SCAN was carried out for a relaxed V3O5F crystal.

Results
Symmetry = Pmn2_1, No. 31

The structure in extended XYZ format:
```
18
Lattice="2.905 0.000 0.000 0.000 4.579 0.000 0.000 0.000 13.743" Properties=species:S:1:pos:R:3 pbc="T T T"
V 0.000 0.975 0.000
V 0.000 0.991 4.356
V 0.000 1.282 9.047
V 1.453 3.297 2.176
V 1.453 3.587 11.227
V 1.453 3.603 6.871
O 0.000 2.408 3.119
O 0.000 2.620 7.654
O 0.000 4.242 1.268
O 0.000 4.396 5.829
O 0.000 4.441 10.415
O 1.453 0.138 3.543
O 1.453 0.183 12.700
O 1.453 0.337 8.140
O 1.453 1.958 0.783
O 1.453 2.171 9.990
F 0.000 2.517 12.245
F 1.453 2.062 5.374
```


No. 7
A plane-wave DFT calculation with meta-GGA r2SCAN was carried out for a relaxed Ti2Ni21B6 crystal.

Results
Symmetry = Fm-3m, No. 225

The structure in extended XYZ format:
```
29
Lattice="0.000 5.192 5.192 5.192 0.000 5.192 5.192 5.192 0.000" Properties=species:S:1:pos:R:3 pbc="T T T"
Ti 2.596 2.596 2.596
Ti 7.788 7.788 7.788
Ni 0.000 0.000 0.000
Ni 1.765 1.765 0.000
Ni 3.427 3.427 0.000
Ni 1.765 0.000 1.765
Ni 5.192 3.427 1.765
Ni 3.427 0.000 3.427
Ni 5.192 1.765 3.427
Ni 6.408 3.977 3.977
Ni 0.000 1.765 1.765
Ni 3.427 5.192 1.765
Ni 3.427 1.765 5.192
Ni 3.977 3.977 3.977
Ni 6.408 6.408 3.977
Ni 6.408 3.977 6.408
Ni 3.977 6.408 3.977
Ni 3.977 3.977 6.408
Ni 6.408 6.408 6.408
Ni 0.000 3.427 3.427
Ni 1.765 5.192 3.427
Ni 1.765 3.427 5.192
Ni 3.977 6.408 6.408
B 5.192 5.192 2.797
B 5.192 2.797 5.192
B 7.588 5.192 5.192
B 2.797 5.192 5.192
B 5.192 7.588 5.192
B 5.192 5.192 7.588
```


No. 8
A plane-wave DFT calculation with meta-GGA r2SCAN was carried out for a relaxed Ho2ReC2 crystal.

Results
Symmetry = Pnma, No. 62

The structure in extended XYZ format:
```
20
Lattice="6.539 0.000 0.000 0.000 5.074 0.000 0.000 0.000 9.807" Properties=species:S:1:pos:R:3 pbc="T T T"
Ho 0.222 1.268 2.110
Ho 1.166 1.268 5.463
Ho 2.103 3.805 0.560
Ho 3.047 3.805 7.014
Ho 3.492 1.268 2.793
Ho 4.436 1.268 9.247
Ho 5.372 3.805 4.344
Ho 6.316 3.805 7.697
Re 1.437 1.268 8.498
Re 1.832 3.805 3.594
Re 4.706 1.268 6.213
Re 5.102 3.805 1.309
C 0.313 3.805 2.364
C 1.158 3.805 5.391
C 2.112 1.268 0.487
C 2.957 1.268 7.267
C 3.582 3.805 2.540
C 4.427 3.805 9.320
C 5.381 1.268 4.416
C 6.226 1.268 7.443
```


No. 9
A plane-wave DFT calculation with meta-GGA r2SCAN was carried out for a relaxed LuNiGe crystal.

Results
Symmetry = Pnma, No. 62

The structure in extended XYZ format:
```
12
Lattice="6.694 0.000 0.000 0.000 4.145 0.000 0.000 0.000 7.152" Properties=species:S:1:pos:R:3 pbc="T T T"
Lu 0.046 1.036 1.484
Lu 3.301 3.109 5.060
Lu 3.394 1.036 2.093
Lu 6.648 3.109 5.669
Ni 1.287 3.109 3.003
Ni 2.060 1.036 6.579
Ni 4.635 3.109 0.573
Ni 5.407 1.036 4.149
Ge 1.336 1.036 4.220
Ge 2.011 3.109 0.644
Ge 4.683 1.036 6.509
Ge 5.358 3.109 2.933
```


| no. | E_tot (eV per atom) | energy relative to the elements (eV per atom) |
| --- | --- | --- |
| 1 | -18.282 | -0.5178 |
| 2 | -13.687 | -2.6254 |
| 3 | -24.894 | -1.7699 |
| 4 | -31.809 | -0.2613 |
| 5 | -9.666 | -0.3058 |
| 6 | -11.110 | -2.7480 |
| 7 | -11.439 | -0.3506 |
| 8 | -28.196 | -0.5827 |
| 9 | -22.174 | -0.8632 |